1.
# Na3Hf3AlSi3S3O24 PBE optimized geometry
data_Na3Hf3AlSi3S3O24
_chemical_formula_sum 'Na9 Hf9 Al3 Si9 S9 O72'
_symmetry_space_group_name_H-M 'P 1'
_symmetry_Int_Tables_number 1
_symmetry_space_group_name_Hall 'P 1'
_cell_length_a 8.8674
_cell_length_b 8.8918
_cell_length_c 22.8550
_cell_angle_alpha 90.13
_cell_angle_beta 90.02
_cell_angle_gamma 119.69
loop_
_atom_site_label
_atom_site_type_symbol
_atom_site_fract_x
_atom_site_fract_y
_atom_site_fract_z
Na1 Na 0.0000 0.0000 0.0000
Na2 Na 0.0005 0.0076 0.4985
Na3 Na 0.0295 0.3564 0.7481
Na4 Na 0.3405 0.6471 0.6699
Na5 Na 0.3485 0.2931 0.9225
Na6 Na 0.3662 0.0229 0.4119
Na7 Na 0.3680 0.6712 0.1617
Na8 Na 0.6762 0.3130 0.3352
Na9 Na 0.6991 0.3354 0.8370
Hf1 Hf 0.0243 0.9876 0.8511
Hf2 Hf 0.0265 0.9980 0.3538
Hf3 Hf 0.0318 0.0015 0.6463
Hf4 Hf 0.0373 0.9947 0.1378
Hf5 Hf 0.3506 0.6381 0.5191
Hf6 Hf 0.3520 0.6433 0.0196
Hf7 Hf 0.3680 0.6608 0.3146
Hf8 Hf 0.6653 0.2994 0.1838
Hf9 Hf 0.6945 0.3322 0.6866
Al1 Al 0.3154 0.6270 0.8123
Al2 Al 0.6897 0.3049 0.4758
Al3 Al 0.7036 0.3074 0.9853
Si1 Si 0.0312 0.7020 0.7488
Si2 Si 0.0433 0.3625 0.9143
Si3 Si 0.3101 0.9778 0.2495
Si4 Si 0.3186 0.2898 0.7523
Si5 Si 0.3713 0.3634 0.4171
Si6 Si 0.4106 0.3176 0.0731
Si7 Si 0.6485 0.9499 0.4193
Si8 Si 0.6844 0.0261 0.0792
Si9 Si 0.9668 0.3165 0.5784
S1 S 0.0228 0.2803 0.2471
S2 S 0.0549 0.6436 0.4154
S3 S 0.3577 0.9386 0.9117
S4 S 0.3999 0.0337 0.5791
S5 S 0.6356 0.6530 0.9115
S6 S 0.6904 0.6081 0.5789
S7 S 0.7207 0.9764 0.7485
S8 S 0.7356 0.6980 0.2474
S9 S 0.9674 0.6007 0.0806
O1 O 0.0318 0.1693 0.9096
O2 O 0.0392 0.1927 0.1946
O3 O 0.0406 0.8032 0.4082
O4 O 0.0460 0.8160 0.6908
O5 O 0.1341 0.4706 0.8542
O6 O 0.1373 0.6178 0.3625
O7 O 0.1452 0.6259 0.0741
O8 O 0.1609 0.4916 0.5757
O9 O 0.1688 0.6803 0.4672
O10 O 0.1825 0.4485 0.2536
O11 O 0.1832 0.1986 0.6962
O12 O 0.1835 0.4570 0.9675
O13 O 0.1907 0.9640 0.1934
O14 O 0.1960 0.9579 0.9091
O15 O 0.2004 0.1657 0.4096
O16 O 0.2026 0.6811 0.7566
O17 O 0.2169 0.1429 0.0807
O18 O 0.2185 0.9964 0.3094
O19 O 0.2232 0.0165 0.5848
O20 O 0.2250 0.1686 0.8096
O21 O 0.3222 0.4459 0.4725
O22 O 0.3284 0.8035 0.2529
O23 O 0.3350 0.4792 0.7605
O24 O 0.3373 0.8403 0.9657
O25 O 0.3732 0.8488 0.8596
O26 O 0.3765 0.4828 0.0719
O27 O 0.3786 0.8578 0.5765
O28 O 0.3889 0.4771 0.3588
O29 O 0.4763 0.1333 0.5251
O30 O 0.5020 0.1548 0.2464
O31 O 0.5016 0.2967 0.7414
O32 O 0.5035 0.1205 0.6318
O33 O 0.5070 0.1167 0.9148
O34 O 0.5070 0.8393 0.0735
O35 O 0.5090 0.3039 0.0146
O36 O 0.5180 0.3455 0.1340
O37 O 0.5194 0.8604 0.3618
O38 O 0.5238 0.6357 0.8609
O39 O 0.5322 0.6289 0.5775
O40 O 0.5389 0.3395 0.4288
O41 O 0.5464 0.8279 0.4745
O42 O 0.5512 0.8252 0.7576
O43 O 0.5564 0.6740 0.2527
O44 O 0.5612 0.6792 0.9667
O45 O 0.6492 0.4945 0.9156
O46 O 0.6639 0.1168 0.1391
O47 O 0.6648 0.1397 0.4235
O48 O 0.6658 0.5050 0.6333
O49 O 0.7043 0.5211 0.5269
O50 O 0.7075 0.1372 0.7416
O51 O 0.7210 0.1479 0.0231
O52 O 0.7235 0.5259 0.2442
O53 O 0.8026 0.9521 0.6953
O54 O 0.8115 0.8074 0.9074
O55 O 0.8132 0.8016 0.1948
O56 O 0.8350 0.7859 0.3009
O57 O 0.8355 0.9620 0.4093
O58 O 0.8387 0.0164 0.7999
O59 O 0.8455 0.3034 0.5236
O60 O 0.8455 0.7815 0.5852
O61 O 0.8524 0.9984 0.0888
O62 O 0.8546 0.3489 0.9256
O63 O 0.8613 0.5186 0.0280
O64 O 0.8648 0.5016 0.7425
O65 O 0.8712 0.3065 0.2433
O66 O 0.8824 0.3318 0.6407
O67 O 0.8821 0.4931 0.4223
O68 O 0.8946 0.5024 0.1347
O69 O 0.9834 0.7754 0.0851
O70 O 0.9880 0.1419 0.5840
O71 O 0.9890 0.7864 0.8051
O72 O 0.9951 0.1717 0.3003
# E (eV/atom): -7.43
# Crystal system: triclinic
# Theoretical density (g cm⁻³): 3.805
# Formation energy from the elements (eV/atom): -2.876
# Total magnetization (Bohr magnetons per cell): 0.0

***

2.
# HfAlPS2O12 PBE optimized geometry
data_HfAlPS2O12
_chemical_formula_sum 'Hf12 Al12 P12 S24 O144'
_symmetry_space_group_name_H-M 'C 1 c 1'
_symmetry_Int_Tables_number 9
_symmetry_space_group_name_Hall 'C -2yc'
_cell_length_a 14.9162
_cell_length_b 8.6252
_cell_length_c 22.2507
_cell_angle_alpha 90.00
_cell_angle_beta 90.44
_cell_angle_gamma 90.00
loop_
_atom_site_label
_atom_site_type_symbol
_atom_site_fract_x
_atom_site_fract_y
_atom_site_fract_z
Hf1 Hf 0.0000 0.0013 0.0000
Hf2 Hf 0.1656 0.4981 0.3335
Hf3 Hf 0.3362 0.0103 0.1668
Al1 Al 0.1676 0.4991 0.6198
Al2 Al 0.3436 0.0044 0.4534
Al3 Al 0.4940 0.4856 0.2856
P1 P 0.3107 0.3749 0.2228
P2 P 0.4830 0.1289 0.0572
P3 P 0.4911 0.2154 0.3901
S1 S 0.0267 0.3393 0.2245
S2 S 0.1474 0.1281 0.3907
S3 S 0.1591 0.2120 0.7238
S4 S 0.1950 0.1545 0.0565
S5 S 0.3243 0.2849 0.5575
S6 S 0.3603 0.3424 0.8905
O1 O 0.0114 0.1855 0.9464
O2 O 0.0194 0.1731 0.2359
O3 O 0.0632 0.4205 0.2781
O4 O 0.0739 0.3901 0.8813
O5 O 0.0740 0.4439 0.5712
O6 O 0.0809 0.1122 0.7337
O7 O 0.0811 0.3711 0.1710
O8 O 0.0896 0.1119 0.4445
O9 O 0.1034 0.0636 0.3369
O10 O 0.1039 0.0852 0.0504
O11 O 0.1440 0.3106 0.6705
O12 O 0.1578 0.2998 0.3839
O13 O 0.1775 0.3069 0.7780
O14 O 0.1855 0.3219 0.0665
O15 O 0.2320 0.0773 0.1109
O16 O 0.2350 0.0581 0.4020
O17 O 0.2396 0.1140 0.7155
O18 O 0.2452 0.3836 0.5662
O19 O 0.2492 0.1222 0.0034
O20 O 0.2521 0.3949 0.2789
O21 O 0.2626 0.4425 0.1675
O22 O 0.2700 0.4135 0.8834
O23 O 0.3111 0.1874 0.5039
O24 O 0.3212 0.1967 0.2157
O25 O 0.3427 0.1913 0.6116
O26 O 0.3493 0.1760 0.9008
O27 O 0.3984 0.4187 0.9446
O28 O 0.4026 0.4472 0.2333
O29 O 0.4045 0.3866 0.5502
O30 O 0.4083 0.1163 0.4007
O31 O 0.4160 0.3709 0.8374
O32 O 0.4220 0.1104 0.1130
O33 O 0.4352 0.0938 0.7170
O34 O 0.4358 0.0577 0.0025
O35 O 0.4793 0.3208 0.3350
O36 O 0.4935 0.3054 0.0477
# E (eV/atom): -7.29
# Crystal system: monoclinic
# Theoretical density (g cm⁻³): 3.429
# Formation energy from the elements (eV/atom): -2.670
# Total magnetization (Bohr magnetons per cell): 0.0

***

3.
# Hf2Al2SiS5O24 PBE optimized geometry
data_Hf2Al2SiS5O24
_chemical_formula_sum 'Hf6 Al6 Si3 S15 O72'
_symmetry_space_group_name_H-M 'P 1'
_symmetry_Int_Tables_number 1
_symmetry_space_group_name_Hall 'P 1'
_cell_length_a 8.5977
_cell_length_b 8.6134
_cell_length_c 22.3492
_cell_angle_alpha 90.04
_cell_angle_beta 90.20
_cell_angle_gamma 119.82
loop_
_atom_site_label
_atom_site_type_symbol
_atom_site_fract_x
_atom_site_fract_y
_atom_site_fract_z
Hf1 Hf 0.0000 0.0000 0.0000
Hf2 Hf 0.0035 0.0067 0.7863
Hf3 Hf 0.0088 0.0145 0.2867
Hf4 Hf 0.3247 0.6683 0.6626
Hf5 Hf 0.3329 0.6674 0.1709
Hf6 Hf 0.6844 0.3509 0.8344
Al1 Al 0.3297 0.6736 0.9561
Al2 Al 0.3356 0.6745 0.4576
Al3 Al 0.6577 0.3363 0.1215
Al4 Al 0.6617 0.3462 0.3332
Al5 Al 0.6712 0.3347 0.6189
Al6 Al 0.9982 0.0071 0.4947
Si1 Si 0.0177 0.7183 0.8946
Si2 Si 0.4007 0.3383 0.2268
Si3 Si 0.9439 0.3341 0.7205
S1 S 0.9997 0.3032 0.3963
S2 S 0.0360 0.3928 0.0601
S3 S 0.0380 0.6768 0.5542
S4 S 0.2890 0.3083 0.8956
S5 S 0.2943 0.0048 0.3972
S6 S 0.3339 0.3774 0.5553
S7 S 0.3520 0.9698 0.0597
S8 S 0.3873 0.0636 0.7215
S9 S 0.6126 0.6616 0.0589
S10 S 0.6284 0.9681 0.5548
S11 S 0.6668 0.6205 0.7216
S12 S 0.6691 0.0712 0.2269
S13 S 0.6979 0.9925 0.8959
S14 S 0.7064 0.7146 0.3967
S15 S 0.9363 0.6122 0.2271
O1 O 0.0153 0.2133 0.0528
O2 O 0.0229 0.8383 0.5435
O3 O 0.0375 0.2242 0.3422
O4 O 0.0422 0.8406 0.8360
O5 O 0.1211 0.6422 0.2200
O6 O 0.1237 0.5046 0.0075
O7 O 0.1285 0.6418 0.5037
O8 O 0.1426 0.5110 0.7138
O9 O 0.1508 0.4723 0.1141
O10 O 0.1547 0.7166 0.6084
O11 O 0.1589 0.4803 0.4076
O12 O 0.1741 0.2313 0.8417
O13 O 0.1746 0.2005 0.5440
O14 O 0.1773 0.9661 0.3429
O15 O 0.1877 0.6986 0.9078
O16 O 0.1950 0.9973 0.0526
O17 O 0.1965 0.1661 0.2355
O18 O 0.2030 0.1928 0.9483
O19 O 0.2051 0.0401 0.4480
O20 O 0.2062 0.0410 0.7272
O21 O 0.2955 0.4555 0.6091
O22 O 0.3100 0.8437 0.4081
O23 O 0.3129 0.8576 0.1134
O24 O 0.3145 0.4857 0.9071
O25 O 0.3684 0.5005 0.5041
O26 O 0.3695 0.5110 0.2198
O27 O 0.3718 0.8857 0.7133
O28 O 0.3745 0.8804 0.0070
O29 O 0.4608 0.3163 0.8866
O30 O 0.4686 0.1745 0.6684
O31 O 0.4724 0.1615 0.3872
O32 O 0.4809 0.3098 0.1660
O33 O 0.4871 0.1371 0.7771
O34 O 0.4937 0.3604 0.5670
O35 O 0.5003 0.6363 0.0057
O36 O 0.5057 0.8754 0.5034
O37 O 0.5058 0.8936 0.2192
O38 O 0.5117 0.3689 0.2874
O39 O 0.5116 0.6489 0.7140
O40 O 0.5142 0.1453 0.0668
O41 O 0.5267 0.6923 0.4081
O42 O 0.5297 0.8295 0.9076
O43 O 0.5314 0.6949 0.1123
O44 O 0.5552 0.8555 0.6089
O45 O 0.6291 0.5136 0.7766
O46 O 0.6391 0.1434 0.5629
O47 O 0.6386 0.5077 0.0665
O48 O 0.6456 0.1505 0.2815
O49 O 0.6670 0.1448 0.8882
O50 O 0.6873 0.5337 0.6682
O51 O 0.6950 0.5389 0.3883
O52 O 0.7039 0.1769 0.1721
O53 O 0.7802 0.9663 0.8417
O54 O 0.7810 0.8276 0.3426
O55 O 0.7897 0.8278 0.0535
O56 O 0.8081 0.9904 0.5435
O57 O 0.8202 0.0388 0.9482
O58 O 0.8241 0.0410 0.2345
O59 O 0.8244 0.3124 0.6629
O60 O 0.8283 0.8062 0.4483
O61 O 0.8286 0.7963 0.7292
O62 O 0.8314 0.5291 0.8908
O63 O 0.8355 0.5339 0.1719
O64 O 0.8399 0.3207 0.3843
O65 O 0.8594 0.3758 0.0704
O66 O 0.8604 0.5202 0.5641
O67 O 0.8661 0.3709 0.7819
O68 O 0.8655 0.5047 0.2814
O69 O 0.9512 0.7905 0.2349
O70 O 0.9651 0.1810 0.4475
O71 O 0.9682 0.1626 0.7314
O72 O 0.9778 0.8141 0.9515
# E (eV/atom): -7.15
# Crystal system: triclinic
# Theoretical density (g cm⁻³): 3.412
# Formation energy from the elements (eV/atom): -2.568
# Total magnetization (Bohr magnetons per cell): 0.0

***

4.
# Hf6Al16Os7 PBE optimized geometry
data_Hf6Al16Os7
_chemical_formula_sum 'Hf24 Al64 Os28'
_symmetry_space_group_name_H-M 'F m -3 m'
_symmetry_Int_Tables_number 225
_symmetry_space_group_name_Hall '-F 4 2 3'
_cell_length_a 12.3138
_cell_length_b 12.3138
_cell_length_c 12.3138
_cell_angle_alpha 90.00
_cell_angle_beta 90.00
_cell_angle_gamma 90.00
loop_
_atom_site_label
_atom_site_type_symbol
_atom_site_fract_x
_atom_site_fract_y
_atom_site_fract_z
Hf1 Hf 0.0000 0.0000 0.2052
Al1 Al 0.1198 0.1198 0.3802
Al2 Al 0.1634 0.1634 0.1634
Os1 Os 0.0000 0.0000 0.5000
Os2 Os 0.0000 0.2500 0.2500
# E (eV/atom): -7.37
# Crystal system: cubic
# Theoretical density (g cm⁻³): 10.083
# Formation energy from the elements (eV/atom): -0.531
# Total magnetization (Bohr magnetons per cell): 1.3

***

5.
# Hf2Al3Pd PBE optimized geometry
data_Hf2Al3Pd
_chemical_formula_sum 'Hf4 Al6 Pd2'
_symmetry_space_group_name_H-M 'P 63/m m c'
_symmetry_Int_Tables_number 194
_symmetry_space_group_name_Hall '-P 6c 2c'
_cell_length_a 5.3333
_cell_length_b 5.3333
_cell_length_c 8.3500
_cell_angle_alpha 90.00
_cell_angle_beta 90.00
_cell_angle_gamma 120.00
loop_
_atom_site_label
_atom_site_type_symbol
_atom_site_fract_x
_atom_site_fract_y
_atom_site_fract_z
Hf1 Hf 0.3333 0.6667 0.0681
Al1 Al 0.1700 0.3401 0.7500
Pd1 Pd 0.0000 0.0000 0.0000
# E (eV/atom): -6.69
# Crystal system: hexagonal
# Theoretical density (g cm⁻³): 8.789
# Formation energy from the elements (eV/atom): -0.631

***

6.
# Hf6Al16Pd7 PBE optimized geometry
data_Hf6Al16Pd7
_chemical_formula_sum 'Hf24 Al64 Pd28'
_symmetry_space_group_name_H-M 'F m -3 m'
_symmetry_Int_Tables_number 225
_symmetry_space_group_name_Hall '-F 4 2 3'
_cell_length_a 12.4027
_cell_length_b 12.4027
_cell_length_c 12.4027
_cell_angle_alpha 90.00
_cell_angle_beta 90.00
_cell_angle_gamma 90.00
loop_
_atom_site_label
_atom_site_type_symbol
_atom_site_fract_x
_atom_site_fract_y
_atom_site_fract_z
Hf1 Hf 0.0000 0.0000 0.1818
Al1 Al 0.1203 0.1203 0.3797
Al2 Al 0.1651 0.1651 0.1651
Pd1 Pd 0.0000 0.0000 0.5000
Pd2 Pd 0.0000 0.2500 0.2500
# E (eV/atom): -6.09
# Crystal system: cubic
# Theoretical density (g cm⁻³): 7.825
# Formation energy from the elements (eV/atom): -0.709

***

7.
# Hf6Al16Pt7 PBE optimized geometry
data_Hf6Al16Pt7
_chemical_formula_sum 'Hf24 Al64 Pt28'
_symmetry_space_group_name_H-M 'F m -3 m'
_symmetry_Int_Tables_number 225
_symmetry_space_group_name_Hall '-F 4 2 3'
_cell_length_a 12.4080
_cell_length_b 12.4080
_cell_length_c 12.4080
_cell_angle_alpha 90.00
_cell_angle_beta 90.00
_cell_angle_gamma 90.00
loop_
_atom_site_label
_atom_site_type_symbol
_atom_site_fract_x
_atom_site_fract_y
_atom_site_fract_z
Hf1 Hf 0.0000 0.0000 0.1812
Al1 Al 0.1199 0.1199 0.3801
Al2 Al 0.1649 0.1649 0.1649
Pt1 Pt 0.0000 0.0000 0.5000
Pt2 Pt 0.0000 0.2500 0.2500
# E (eV/atom): -6.46
# Crystal system: cubic
# Theoretical density (g cm⁻³): 9.973
# Formation energy from the elements (eV/atom): -0.869